Density functional theory data (PBE) for TbCl after structural relaxation.

Structure (POSCAR):
```
TbCl
1.0
-1.8305 0.0246 9.6549
-0.0369 -3.2560 9.2718
1.9266 -0.0720 9.6359
Tb Cl
2 2
Cartesian
0.0070 -0.3889 3.3630 Tb
0.0522 -2.9144 25.1996 Tb
0.0361 -2.0144 17.4174 Cl
0.0231 -1.2890 11.1451 Cl
```

=====

Density functional theory data (PBE) for TcCl4 after structural relaxation.

Structure (POSCAR):
```
TcCl4
1.0
6.1518 0.0000 0.0000
0.0000 13.2136 0.0000
0.0000 0.0000 15.4414
Tc Cl
8 32
Cartesian
5.5169 8.2994 4.8761 Tc
2.4410 11.5209 10.5653 Tc
0.6350 1.6926 2.8446 Tc
3.7109 4.9142 12.5968 Tc
0.6350 4.9142 10.5653 Tc
3.7109 1.6926 4.8761 Tc
5.5169 11.5209 12.5968 Tc
2.4410 8.2994 2.8446 Tc
4.6556 6.8741 6.4028 Cl
1.5797 12.9462 9.0386 Cl
1.4963 0.2674 1.3179 Cl
4.5722 6.3394 14.1235 Cl
1.4963 6.3394 9.0386 Cl
4.5722 0.2674 6.4028 Cl
4.6556 12.9462 14.1235 Cl
1.5797 6.8741 1.3179 Cl
3.5232 9.6283 4.6735 Cl
0.4472 10.1921 10.7679 Cl
2.6287 3.0215 3.0472 Cl
5.7046 3.5853 12.3942 Cl
2.6287 3.5853 10.7679 Cl
5.7046 3.0215 4.6735 Cl
3.5232 10.1921 12.3942 Cl
0.4472 9.6283 3.0472 Cl
1.3617 6.9728 4.6797 Cl
4.4376 12.8476 10.7617 Cl
4.7901 0.3660 3.0410 Cl
1.7142 6.2408 12.4004 Cl
4.7901 6.2408 10.7617 Cl
1.7142 0.3660 4.6797 Cl
1.3617 12.8476 12.4004 Cl
4.4376 6.9728 3.0410 Cl
3.2942 9.7235 1.3130 Cl
0.2183 10.0968 14.1284 Cl
2.8577 3.1167 6.4077 Cl
5.9336 3.4900 9.0337 Cl
2.8577 3.4900 14.1284 Cl
5.9336 3.1167 1.3130 Cl
3.2942 10.0968 9.0337 Cl
0.2183 9.7235 6.4077 Cl
```

=====

Density functional theory data (PBE) for TcCl3 after structural relaxation.

Structure (POSCAR):
```
TcCl3
1.0
-4.8401 -3.0856 0.0000
4.8401 -3.0856 0.0000
0.0000 2.0117 6.3685
Tc Cl
2 6
Cartesian
3.4684 -3.0856 0.0000 Tc
-3.4684 -3.0856 0.0000 Tc
0.0000 -3.1817 4.7589 Cl
0.0000 -0.9778 1.6096 Cl
-1.6488 -0.0345 5.0792 Cl
1.6488 -0.0345 5.0792 Cl
1.6488 -4.1250 1.2892 Cl
-1.6488 -4.1250 1.2892 Cl
```

Output
Excess energy over the best structure of this formula in the dataset ... 0.071 eV/atom

=====

Density functional theory data (PBE) for TcCl3 after structural relaxation.

Structure (POSCAR):
```
TcCl3
1.0
-0.0828 1.3367 9.1123
-8.4757 -1.2326 3.3867
-0.5795 -8.0391 4.4569
Tc Cl
6 18
Cartesian
-1.3655 -0.8578 4.6188 Tc
-3.3190 -1.4559 3.2861 Tc
-1.4810 -3.0401 3.5352 Tc
-7.7726 -7.0772 12.3371 Tc
-5.8191 -6.4792 13.6697 Tc
-7.6570 -4.8949 13.4206 Tc
-8.0384 -3.6537 8.2160 Cl
-3.7516 -7.3488 8.7970 Cl
-3.4819 -2.2588 11.3243 Cl
-1.0997 -4.2814 8.7399 Cl
-5.3865 -0.5862 8.1589 Cl
-5.6561 -5.6762 5.6315 Cl
-0.0882 0.3734 3.0256 Cl
-2.7694 -0.4474 1.1965 Cl
-0.2469 -2.6218 1.5384 Cl
-9.0498 -8.3085 13.9303 Cl
-6.3686 -7.4877 15.7594 Cl
-8.8912 -5.3132 15.4175 Cl
-2.1168 -1.4075 6.6665 Cl
-4.6826 -2.1930 4.9162 Cl
-2.2687 -4.2738 5.2434 Cl
-7.0212 -6.5275 10.2893 Cl
-4.4555 -5.7420 12.0397 Cl
-6.8694 -3.6613 11.7125 Cl
```

Output
Excess energy over the best structure of this formula in the dataset ... 0.000 eV/atom

=====

Ordered formation energy from the elements results: -1.765, -1.165, -1.098, -1.168; unit eV/atom.